i:
Compound: Li4Ti2Mn3O10
Source: Materials Project
Functional: PBE with a Hubbard U
Structure: optimized geometry

Lattice parameters (Å, degrees): 6.6269 8.0223 8.0919 98.22 113.25 89.13
Fractional positions:
Li (0.5985, 0.2082, 0.7691)
Li (0.3086, 0.0928, 0.4037)
Li (0.7499, 0.2570, 0.4849)
Li (0.2501, 0.7430, 0.5151)
Li (0.6914, 0.9072, 0.5963)
Li (0.4015, 0.7918, 0.2309)
Li (0.8168, 0.5734, 0.3993)
Li (0.1832, 0.4266, 0.6007)
Ti (0.8453, 0.9456, 0.3179)
Ti (0.1547, 0.0544, 0.6821)
Ti (0.3344, 0.4332, 0.3202)
Ti (0.6656, 0.5668, 0.6798)
Mn (0.4643, 0.1519, 0.1082)
Mn (0.5357, 0.8481, 0.8918)
Mn (0.0000, 0.0000, 0.0000)
Mn (0.5000, 0.5000, 0.0000)
Mn (0.9603, 0.6446, 0.1123)
Mn (0.0397, 0.3554, 0.8877)
O (0.2869, 0.9510, 0.9372)
O (0.4097, 0.9882, 0.6524)
O (0.5903, 0.0118, 0.3476)
O (0.9002, 0.1332, 0.7662)
O (0.0260, 0.1458, 0.4616)
O (0.7131, 0.0490, 0.0628)
O (0.4109, 0.6282, 0.7635)
O (0.2111, 0.2204, 0.1654)
O (0.5272, 0.6519, 0.4577)
O (0.7889, 0.7796, 0.8346)
O (0.7046, 0.7224, 0.1638)
O (0.9740, 0.8542, 0.5384)
O (0.2954, 0.2776, 0.8362)
O (0.0998, 0.8668, 0.2338)
O (0.7825, 0.4455, 0.9268)
O (0.4728, 0.3481, 0.5423)
O (0.5891, 0.3718, 0.2365)
O (0.9028, 0.4738, 0.6436)
O (0.0972, 0.5262, 0.3564)
O (0.2175, 0.5545, 0.0732)

ii:
Compound: Li4Ti2Mn3O10
Source: Materials Project
Functional: PBE with a Hubbard U
Structure: optimized geometry

Lattice parameters (Å, degrees): 5.2626 7.9790 10.3936 106.22 101.93 72.26
Fractional positions:
Li (0.4805, 0.3978, 0.1205)
Li (0.4805, 0.3976, 0.6205)
Li (0.5195, 0.6022, 0.3795)
Li (0.5194, 0.6023, 0.8795)
Li (0.5752, 0.7509, 0.1910)
Li (0.5752, 0.7509, 0.6910)
Li (0.4249, 0.2491, 0.3091)
Li (0.4248, 0.2491, 0.8090)
Ti (0.0515, 0.6758, 0.0431)
Ti (0.0517, 0.6757, 0.5431)
Ti (0.9485, 0.3242, 0.4569)
Ti (0.9484, 0.3244, 0.9570)
Mn (0.5001, 0.9999, 0.4999)
Mn (0.9856, 0.1178, 0.1620)
Mn (0.0143, 0.8822, 0.8380)
Mn (0.4999, 0.0001, 0.0000)
Mn (0.9857, 0.1179, 0.6620)
Mn (0.0143, 0.8822, 0.3380)
O (0.2465, 0.8258, 0.9992)
O (0.2466, 0.8257, 0.4992)
O (0.7535, 0.1742, 0.5008)
O (0.7534, 0.1743, 0.0008)
O (0.7806, 0.5526, 0.0542)
O (0.7807, 0.5526, 0.5542)
O (0.2194, 0.4474, 0.4458)
O (0.2193, 0.4474, 0.9458)
O (0.8006, 0.9265, 0.1679)
O (0.8006, 0.9264, 0.6678)
O (0.1994, 0.0735, 0.3321)
O (0.1993, 0.0736, 0.8321)
O (0.2287, 0.2243, 0.1149)
O (0.2290, 0.2241, 0.6148)
O (0.7713, 0.7757, 0.3851)
O (0.7710, 0.7759, 0.8852)
O (0.2709, 0.6633, 0.2061)
O (0.2709, 0.6633, 0.7061)
O (0.7291, 0.3367, 0.2939)
O (0.7291, 0.3368, 0.7939)

On energetic grounds, ii is preferred over the next structure by 6 meV per atom.

i:
Compound: Li4Ti2Mn3V3O16
Source: Materials Project
Functional: PBE with a Hubbard U
Structure: optimized geometry

Lattice parameters (Å, degrees): 6.0236 6.0236 9.6252 87.35 87.35 58.37
Fractional positions:
Li (0.3461, 0.3461, 0.8986)
Li (0.9985, 0.9985, 0.9916)
Li (0.9984, 0.9984, 0.4922)
Li (0.6653, 0.6653, 0.4003)
Ti (0.3412, 0.3412, 0.4981)
Ti (0.6646, 0.6646, 0.9973)
Mn (0.1670, 0.1670, 0.2064)
Mn (0.3441, 0.8405, 0.7118)
Mn (0.8405, 0.3441, 0.7118)
V (0.1560, 0.6525, 0.2201)
V (0.6525, 0.1560, 0.2201)
V (0.8298, 0.8298, 0.7266)
O (0.1578, 0.6567, 0.5934)
O (0.4783, 0.4783, 0.3401)
O (0.3514, 0.3514, 0.1027)
O (0.9891, 0.9891, 0.3049)
O (0.0015, 0.0015, 0.8019)
O (0.6567, 0.1578, 0.5934)
O (0.0357, 0.5008, 0.3442)
O (0.5008, 0.0357, 0.3442)
O (0.8309, 0.8309, 0.1033)
O (0.1645, 0.1645, 0.5899)
O (0.5366, 0.9706, 0.8497)
O (0.9706, 0.5366, 0.8497)
O (0.6758, 0.6758, 0.6089)
O (0.3341, 0.8173, 0.0879)
O (0.5302, 0.5302, 0.8366)
O (0.8173, 0.3341, 0.0879)

ii:
Compound: Li4Ti2Mn3V3O16
Source: Materials Project
Functional: PBE with a Hubbard U
Structure: optimized geometry

Lattice parameters (Å, degrees): 5.8840 6.0160 9.6147 92.80 89.67 119.06
Fractional positions:
Li (0.3468, 0.6872, 0.0990)
Li (0.9948, 0.9937, 0.0096)
Li (0.9993, 0.9977, 0.5079)
Li (0.6633, 0.3272, 0.5990)
Ti (0.3423, 0.6815, 0.5017)
Ti (0.6531, 0.3236, 0.0041)
Mn (0.1649, 0.3330, 0.7934)
Mn (0.3427, 0.1811, 0.2897)
Mn (0.8343, 0.1758, 0.2912)
V (0.1552, 0.8057, 0.7795)
V (0.6517, 0.8092, 0.7809)
V (0.8366, 0.6563, 0.2732)
O (0.1582, 0.8111, 0.4065)
O (0.4774, 0.9547, 0.6587)
O (0.3483, 0.7006, 0.8967)
O (0.9897, 0.9785, 0.6952)
O (0.9978, 0.9969, 0.1998)
O (0.6563, 0.8098, 0.4052)
O (0.0367, 0.5347, 0.6555)
O (0.4998, 0.5367, 0.6568)
O (0.8298, 0.6599, 0.8961)
O (0.1630, 0.3267, 0.4112)
O (0.5367, 0.5031, 0.1493)
O (0.9714, 0.5094, 0.1538)
O (0.6760, 0.3536, 0.3908)
O (0.3331, 0.1476, 0.9113)
O (0.5285, 0.0574, 0.1635)
O (0.8119, 0.1472, 0.9125)

On energetic grounds, ii is preferred over the next structure by 15 meV per atom.

i:
Compound: LiMnVO4
Source: Materials Project
Functional: PBE with a Hubbard U
Structure: optimized geometry

Lattice parameters (Å, degrees): 6.0115 6.0115 6.0115 61.81 88.62 120.23
Fractional positions:
Li (0.4999, 0.9999, 0.5000)
Li (0.0001, 0.5000, 0.5000)
Mn (0.5002, 0.0004, 0.9996)
Mn (0.5000, 0.4998, 0.5002)
V (0.1215, 0.2500, 0.1285)
V (0.8784, 0.7500, 0.8716)
O (0.7552, 0.0053, 0.2501)
O (0.7587, 0.5192, 0.2221)
O (0.2413, 0.0192, 0.2395)
O (0.2445, 0.4947, 0.2501)
O (0.7555, 0.5054, 0.7499)
O (0.7587, 0.9808, 0.7605)
O (0.2412, 0.4808, 0.7780)
O (0.2447, 0.9946, 0.7499)

ii:
Compound: LiMnVO4
Source: Materials Project
Functional: PBE with a Hubbard U
Structure: optimized geometry

Lattice parameters (Å, degrees): 5.9822 5.9822 5.9822 121.00 120.57 88.64
Fractional positions:
Li (0.1294, 0.3794, 0.7500)
Li (0.8706, 0.6206, 0.2500)
Mn (0.5000, 0.0000, 0.0000)
Mn (0.5000, 0.5000, 0.5000)
V (0.0000, 0.0000, 0.0000)
V (0.5000, 0.0000, 0.5000)
O (0.2698, 0.7924, 0.0226)
O (0.2706, 0.2418, 0.0288)
O (0.7131, 0.2418, 0.4712)
O (0.2698, 0.2471, 0.4774)
O (0.7302, 0.7529, 0.5226)
O (0.7294, 0.7582, 0.9712)
O (0.2869, 0.7582, 0.5288)
O (0.7302, 0.2076, 0.9774)

On energetic grounds, i is preferred over the next structure by 64 meV per atom.

i:
Compound: LiMnVO4
Source: Materials Project
Functional: PBE with a Hubbard U
Structure: optimized geometry

Lattice parameters (Å, degrees): 5.3023 6.4292 5.3023 90.00 112.93 90.00
Fractional positions:
Li (0.3379, 0.7500, 0.6621)
Li (0.6621, 0.2500, 0.3379)
Mn (0.0000, 0.5000, 0.0000)
Mn (0.0000, 0.0000, 0.0000)
V (0.6447, 0.7500, 0.3553)
V (0.3553, 0.2500, 0.6447)
O (0.2409, 0.2500, 0.2814)
O (0.7591, 0.7500, 0.7186)
O (0.2814, 0.7500, 0.2409)
O (0.7186, 0.2500, 0.7591)
O (0.7562, 0.5301, 0.2438)
O (0.2438, 0.0301, 0.7562)
O (0.2438, 0.4699, 0.7562)
O (0.7562, 0.9699, 0.2438)

ii:
Compound: LiMnVO4
Source: Materials Project
Functional: PBE with a Hubbard U
Structure: optimized geometry

Lattice parameters (Å, degrees): 4.9994 6.2765 10.7955 90.00 90.00 90.00
Fractional positions:
Li (0.0000, 0.0000, 0.0000)
Li (0.5000, 0.0000, 0.5000)
Li (0.0000, 0.5000, 0.0000)
Li (0.5000, 0.5000, 0.5000)
Mn (0.5155, 0.2500, 0.7733)
Mn (0.4845, 0.7500, 0.2267)
Mn (0.9846, 0.2500, 0.2733)
Mn (0.0154, 0.7500, 0.7267)
V (0.0752, 0.2500, 0.5910)
V (0.9248, 0.7500, 0.4090)
V (0.4247, 0.2500, 0.0909)
V (0.5753, 0.7500, 0.9091)
O (0.2117, 0.2500, 0.4428)
O (0.2883, 0.2500, 0.9427)
O (0.7883, 0.7500, 0.5572)
O (0.7117, 0.7500, 0.0573)
O (0.7731, 0.2500, 0.0941)
O (0.7269, 0.2500, 0.5942)
O (0.2731, 0.7500, 0.4058)
O (0.2269, 0.7500, 0.9059)
O (0.2773, 0.0301, 0.1649)
O (0.2227, 0.0301, 0.6650)
O (0.2773, 0.4699, 0.1649)
O (0.2227, 0.4699, 0.6650)
O (0.7227, 0.5300, 0.8351)
O (0.7773, 0.5301, 0.3350)
O (0.7773, 0.9699, 0.3350)
O (0.7227, 0.9700, 0.8351)

On energetic grounds, i is preferred over the next structure by 12 meV per atom.

i:
Compound: Li2Mn3WO8
Source: Materials Project
Functional: PBE with a Hubbard U
Structure: optimized geometry

Lattice parameters (Å, degrees): 6.0971 6.2173 8.7064 88.32 90.00 89.99
Fractional positions:
Li (0.0000, 0.2698, 0.1350)
Li (0.5000, 0.7697, 0.6350)
Li (0.0000, 0.7302, 0.8650)
Li (0.5000, 0.2303, 0.3650)
Mn (0.0000, 0.5000, 0.5000)
Mn (0.5000, 0.0000, 0.0000)
Mn (0.2501, 0.7504, 0.2501)
Mn (0.7499, 0.2496, 0.7499)
Mn (0.7499, 0.7503, 0.2501)
Mn (0.2501, 0.2496, 0.7499)
W (0.5000, 0.5000, 0.0000)
W (0.0000, 0.0000, 0.5000)
O (0.0000, 0.5461, 0.2735)
O (0.5000, 0.0460, 0.7735)
O (0.0000, 0.4538, 0.7265)
O (0.5000, 0.9540, 0.2265)
O (0.2244, 0.7729, 0.4988)
O (0.7244, 0.2728, 0.9987)
O (0.7756, 0.7728, 0.4987)
O (0.2756, 0.2728, 0.9987)
O (0.0000, 0.9978, 0.2743)
O (0.5000, 0.4977, 0.7742)
O (0.0000, 0.0022, 0.7257)
O (0.5000, 0.5023, 0.2257)
O (0.2243, 0.2272, 0.5013)
O (0.7244, 0.7272, 0.0013)
O (0.7756, 0.2271, 0.5012)
O (0.2756, 0.7272, 0.0013)

ii:
Compound: Li2Mn3WO8
Source: Materials Project
Functional: PBE with a Hubbard U
Structure: optimized geometry

Lattice parameters (Å, degrees): 8.5109 8.5221 9.0992 90.00 90.00 90.00
Fractional positions:
Li (0.7539, 0.7511, 0.7474)
Li (0.5022, 0.4897, 0.5005)
Li (0.0022, 0.0103, 0.4995)
Li (0.2539, 0.7489, 0.2526)
Li (0.7461, 0.2489, 0.2474)
Li (0.9978, 0.5103, 0.0005)
Li (0.4978, 0.9897, 0.9995)
Li (0.2461, 0.2511, 0.7526)
Mn (0.1303, 0.6058, 0.6357)
Mn (0.8721, 0.3641, 0.6252)
Mn (0.6210, 0.1289, 0.6201)
Mn (0.1210, 0.3711, 0.3799)
Mn (0.3721, 0.1359, 0.3748)
Mn (0.6303, 0.8942, 0.3643)
Mn (0.3697, 0.3942, 0.1357)
Mn (0.6279, 0.6359, 0.1252)
Mn (0.8790, 0.8711, 0.1201)
Mn (0.3790, 0.6289, 0.8799)
Mn (0.1279, 0.8641, 0.8748)
Mn (0.8697, 0.1058, 0.8643)
W (0.3715, 0.8756, 0.6170)
W (0.8715, 0.6244, 0.3830)
W (0.1285, 0.1244, 0.1170)
W (0.6285, 0.3756, 0.8830)
O (0.3827, 0.6537, 0.6164)
O (0.1489, 0.8806, 0.6297)
O (0.8499, 0.1371, 0.6321)
O (0.8722, 0.6038, 0.5956)
O (0.6345, 0.3613, 0.6544)
O (0.0960, 0.3641, 0.6163)
O (0.3883, 0.1081, 0.6312)
O (0.6060, 0.8969, 0.6211)
O (0.1060, 0.6031, 0.3789)
O (0.8883, 0.3919, 0.3688)
O (0.5960, 0.1359, 0.3837)
O (0.1345, 0.1387, 0.3456)
O (0.3722, 0.8962, 0.4044)
O (0.3499, 0.3629, 0.3679)
O (0.6489, 0.6194, 0.3703)
O (0.8827, 0.8463, 0.3836)
O (0.1173, 0.3463, 0.1164)
O (0.3511, 0.1194, 0.1297)
O (0.6501, 0.8629, 0.1321)
O (0.6278, 0.3962, 0.0956)
O (0.8655, 0.6387, 0.1544)
O (0.4040, 0.6359, 0.1163)
O (0.1117, 0.8919, 0.1312)
O (0.8940, 0.1031, 0.1211)
O (0.3940, 0.3969, 0.8789)
O (0.6117, 0.6081, 0.8688)
O (0.9040, 0.8641, 0.8837)
O (0.3655, 0.8613, 0.8456)
O (0.1278, 0.1038, 0.9044)
O (0.1501, 0.6371, 0.8679)
O (0.8511, 0.3806, 0.8703)
O (0.6173, 0.1537, 0.8836)

iii:
Compound: Li2Mn3WO8
Source: Materials Project
Functional: PBE with a Hubbard U
Structure: optimized geometry

Lattice parameters (Å, degrees): 6.0512 6.0512 9.8904 90.00 90.00 120.00
Fractional positions:
Li (0.3333, 0.6667, 0.9065)
Li (0.0000, 0.0000, 0.9853)
Li (0.0000, 0.0000, 0.4853)
Li (0.6667, 0.3333, 0.4065)
Mn (0.1704, 0.8296, 0.2133)
Mn (0.1704, 0.3407, 0.2133)
Mn (0.6593, 0.8296, 0.2133)
Mn (0.3407, 0.1704, 0.7133)
Mn (0.8296, 0.6593, 0.7133)
Mn (0.8296, 0.1704, 0.7133)
W (0.3333, 0.6667, 0.4860)
W (0.6667, 0.3333, 0.9860)
O (0.1735, 0.8265, 0.5861)
O (0.0396, 0.5198, 0.3559)
O (0.3333, 0.6667, 0.1147)
O (0.0000, 0.0000, 0.2953)
O (0.0000, 0.0000, 0.7953)
O (0.1735, 0.3470, 0.5861)
O (0.4802, 0.9604, 0.3559)
O (0.4802, 0.5198, 0.3559)
O (0.3470, 0.1735, 0.0861)
O (0.6530, 0.8265, 0.5861)
O (0.5198, 0.4802, 0.8559)
O (0.5198, 0.0396, 0.8559)
O (0.6667, 0.3333, 0.6147)
O (0.8265, 0.6530, 0.0861)
O (0.9604, 0.4802, 0.8559)
O (0.8265, 0.1735, 0.0861)

On energetic grounds, iii is preferred over the next structure by 12 meV per atom.